Density functional theory data (PBE-GGA) for a relaxed KUPO7F crystal.

Results
Calculated density = 3.909 Mg/m³
Size of the total moment = 3.00 μB/f.u.
Energy of formation = -2.511 eV/atom
Corrected total energy (MP2020 scheme) = -327.964 eV for the cell shown
Electronic total energy = -6.975 eV per atom

a b c (Å): 6.897 8.695 13.885
angles (deg): 90.00 116.34 90.00
Space group P2_1/c (No. 14)
Symmetry-distinct sites (fractional):
K (0.183, 0.197, 0.049) x4
U (0.099, 0.530, 0.246) x4
P (0.386, 0.627, 0.736) x4
O (0.035, 0.080, 0.396) x4
O (0.221, 0.022, 0.887) x4
O (0.255, 0.501, 0.762) x4
O (0.269, 0.621, 0.610) x4
O (0.366, 0.716, 0.281) x4
O (0.373, 0.085, 0.717) x4
O (0.452, 0.679, 0.037) x4
F (0.011, 0.231, 0.709) x4



Density functional theory data (PBE-GGA) for a relaxed K5Pr4Si4O16F crystal.

Results
Calculated density = 4.365 Mg/m³
Energy of formation = -3.273 eV/atom
Corrected total energy (MP2020 scheme) = -451.274 eV for the cell shown
Electronic total energy = -7.139 eV per atom

a b c (Å): 12.509 12.509 5.574
angles (deg): 90.00 90.00 90.00
Space group I-4 (No. 82)
Symmetry-distinct sites (fractional):
K (0.000, 0.000, 0.000) x2
K (0.093, 0.602, 0.500) x8
Pr (0.118, 0.184, 0.483) x8
Si (0.104, 0.755, 0.990) x8
O (0.035, 0.795, 0.753) x8
O (0.051, 0.803, 0.240) x8
O (0.117, 0.623, 0.004) x8
O (0.200, 0.227, 0.056) x8
F (0.000, 0.000, 0.500) x2



Density functional theory data (PBE-GGA) for a relaxed KRe4O8F13 crystal.

Results
Calculated density = 4.626 Mg/m³
Size of the total moment = 0.00 μB/f.u.
Energy of formation = -2.476 eV/atom
Corrected total energy (MP2020 scheme) = -359.491 eV for the cell shown
Electronic total energy = -6.471 eV per atom

a b c (Å): 28.212 5.426 5.510
angles (deg): 90.00 99.47 90.00
Space group C2 (No. 5)
Symmetry-distinct sites (fractional):
K (0.000, 0.000, 0.000) x2
Re (0.076, 0.440, 0.584) x4
Re (0.201, 0.027, 0.116) x4
O (0.081, 0.268, 0.327) x4
O (0.134, 0.539, 0.675) x4
O (0.158, 0.834, 0.193) x4
O (0.179, 0.306, 0.190) x4
F (0.000, 0.324, 0.500) x2
F (0.048, 0.586, 0.854) x4
F (0.052, 0.726, 0.410) x4
F (0.079, 0.157, 0.789) x4
F (0.179, 0.037, 0.776) x4
F (0.239, 0.717, 0.003) x4
F (0.247, 0.987, 0.396) x4



Density functional theory data (PBE-GGA) for a relaxed K3SO4F crystal.

Results
Calculated density = 2.554 Mg/m³
Energy above the lowest structure with this stoichiometry = 0.0 kJ/mol of atoms
Size of the total moment = 0.00 μB/f.u.
Energy of formation = -2.422 eV/atom
Corrected total energy (MP2020 scheme) = -203.881 eV for the cell shown
Electronic total energy = -5.307 eV per atom

a b c (Å): 7.390 7.390 11.064
angles (deg): 90.00 90.00 90.00
Space group I4/mcm (No. 140)
Symmetry-distinct sites (fractional):
K (0.000, 0.000, 0.250) x4
K (0.193, 0.307, 0.000) x8
S (0.000, 0.500, 0.250) x4
O (0.116, 0.384, 0.329) x16
F (0.000, 0.000, 0.000) x4



Density functional theory data (PBE-GGA) for a relaxed KSO3F crystal.

Results
Calculated density = 2.279 Mg/m³
Size of the total moment = 0.00 μB/f.u.
Energy of formation = -2.257 eV/atom
Corrected total energy (MP2020 scheme) = -142.188 eV for the cell shown
Electronic total energy = -5.504 eV per atom

a b c (Å): 8.823 6.041 7.556
angles (deg): 90.00 90.00 90.00
Space group Pnma (No. 62)
Symmetry-distinct sites (fractional):
K (0.177, 0.250, 0.158) x4
S (0.056, 0.250, 0.700) x4
O (0.077, 0.750, 0.412) x4
O (0.084, 0.047, 0.798) x8
F (0.197, 0.250, 0.554) x4



Density functional theory data (PBE-GGA) for a relaxed K3SO4F crystal.

Results
Calculated density = 2.361 Mg/m³
Energy above the lowest structure with this stoichiometry = 0.8 kJ/mol of atoms
Size of the total moment = 0.00 μB/f.u.
Energy of formation = -2.414 eV/atom
Corrected total energy (MP2020 scheme) = -50.897 eV for the cell shown
Electronic total energy = -5.299 eV per atom

a b c (Å): 5.467 5.467 5.467
angles (deg): 90.00 90.00 90.00
Space group P-43m (No. 215)
Symmetry-distinct sites (fractional):
K (0.000, 0.000, 0.500) x3
S (0.500, 0.500, 0.500) x1
O (0.342, 0.342, 0.658) x4
F (0.000, 0.000, 0.000) x1



Copy entry 4 word for word.
Density functional theory data (PBE-GGA) for a relaxed K3SO4F crystal.

Results
Calculated density = 2.554 Mg/m³
Energy above the lowest structure with this stoichiometry = 0.0 kJ/mol of atoms
Size of the total moment = 0.00 μB/f.u.
Energy of formation = -2.422 eV/atom
Corrected total energy (MP2020 scheme) = -203.881 eV for the cell shown
Electronic total energy = -5.307 eV per atom

a b c (Å): 7.390 7.390 11.064
angles (deg): 90.00 90.00 90.00
Space group I4/mcm (No. 140)
Symmetry-distinct sites (fractional):
K (0.000, 0.000, 0.250) x4
K (0.193, 0.307, 0.000) x8
S (0.000, 0.500, 0.250) x4
O (0.116, 0.384, 0.329) x16
F (0.000, 0.000, 0.000) x4



Q: Which of these has the highest energy of formation?
A: KSO3F



Q: electronic total energy of number 2 (K5Pr4Si4O16F)?
A: -7.139 eV per atom